Record 1
Entry from the Materials Project: a relaxed K7Bi2P6W4O34 crystal (GGA+U).

MP2020-corrected energy: -7.49 eV per atom
Formation enthalpy at 0 K: -2.435 eV per atom
E_tot: -712.04 eV for the cell shown
Total moment: 0.955 μB/f.u.

a b c (Å): 9.6035 9.8568 18.0216
angles (deg): 89.98 76.81 89.68
Fractional coordinates of all 106 atoms:
K: 0.0000 0.0000 0.0000
K: 0.0053 0.6764 0.5931
K: 0.1053 0.9858 0.7781
K: 0.1681 0.6686 0.0034
K: 0.3283 0.1701 0.0065
K: 0.3897 0.5065 0.2186
K: 0.4885 0.1262 0.3980
K: 0.5000 0.5000 0.0000
K: 0.5115 0.8738 0.6020
K: 0.6103 0.4935 0.7814
K: 0.6717 0.8299 0.9935
K: 0.8319 0.3314 0.9966
K: 0.8947 0.0142 0.2219
K: 0.9947 0.3236 0.4069
Bi: 0.1319 0.8858 0.3870
Bi: 0.3203 0.3524 0.6101
Bi: 0.6797 0.6476 0.3899
Bi: 0.8681 0.1142 0.6130
P: 0.0187 0.6772 0.2605
P: 0.1738 0.0691 0.5398
P: 0.2427 0.1589 0.2612
P: 0.2866 0.6370 0.7390
P: 0.3246 0.5713 0.4486
P: 0.4604 0.1542 0.7466
P: 0.5396 0.8458 0.2534
P: 0.6754 0.4287 0.5514
P: 0.7134 0.3630 0.2610
P: 0.7573 0.8411 0.7388
P: 0.8262 0.9309 0.4602
P: 0.9813 0.3228 0.7395
W: 0.0638 0.3692 0.1670
W: 0.2059 0.3671 0.8606
W: 0.2913 0.8725 0.1484
W: 0.4183 0.8696 0.8543
W: 0.5817 0.1304 0.1457
W: 0.7087 0.1275 0.8516
W: 0.7941 0.6329 0.1394
W: 0.9362 0.6308 0.8330
O: 0.0083 0.3015 0.6532
O: 0.0215 0.2181 0.1222
O: 0.0497 0.1441 0.5118
O: 0.0541 0.5051 0.8779
O: 0.0933 0.5415 0.2352
O: 0.1007 0.0100 0.6188
O: 0.1010 0.2395 0.9185
O: 0.1168 0.7938 0.2192
O: 0.1242 0.6481 0.7415
O: 0.1271 0.3080 0.7625
O: 0.1413 0.2811 0.2518
O: 0.1975 0.0388 0.2171
O: 0.1997 0.9230 0.0769
O: 0.2174 0.6821 0.4354
O: 0.2206 0.1252 0.3457
O: 0.2352 0.4056 0.1066
O: 0.2435 0.9595 0.4810
O: 0.2489 0.4862 0.5180
O: 0.2563 0.9487 0.9047
O: 0.2992 0.1692 0.5426
O: 0.3005 0.4355 0.9269
O: 0.3179 0.7520 0.7936
O: 0.3221 0.4993 0.7730
O: 0.3505 0.4920 0.3724
O: 0.3664 0.2408 0.8129
O: 0.3682 0.7154 0.1084
O: 0.3720 0.6515 0.6576
O: 0.3808 0.8301 0.2487
O: 0.3971 0.2043 0.2254
O: 0.4145 0.0038 0.7582
O: 0.4420 0.1994 0.6685
O: 0.4443 0.7440 0.9220
O: 0.4549 0.9923 0.1170
O: 0.4640 0.6328 0.4641
O: 0.5360 0.3672 0.5359
O: 0.5451 0.0077 0.8830
O: 0.5557 0.2560 0.0780
O: 0.5580 0.8006 0.3315
O: 0.5855 0.9962 0.2418
O: 0.6029 0.7957 0.7746
O: 0.6192 0.1699 0.7513
O: 0.6280 0.3485 0.3424
O: 0.6318 0.2846 0.8916
O: 0.6336 0.7592 0.1871
O: 0.6495 0.5080 0.6276
O: 0.6779 0.5007 0.2270
O: 0.6821 0.2480 0.2064
O: 0.6995 0.5645 0.0731
O: 0.7008 0.8308 0.4574
O: 0.7437 0.0513 0.0953
O: 0.7511 0.5138 0.4820
O: 0.7565 0.0405 0.5190
O: 0.7648 0.5944 0.8934
O: 0.7794 0.8748 0.6543
O: 0.7826 0.3179 0.5646
O: 0.8003 0.0770 0.9231
O: 0.8025 0.9612 0.7829
O: 0.8587 0.7189 0.7482
O: 0.8729 0.6919 0.2375
O: 0.8758 0.3519 0.2585
O: 0.8832 0.2062 0.7808
O: 0.8990 0.7605 0.0815
O: 0.8993 0.9900 0.3812
O: 0.9067 0.4585 0.7648
O: 0.9459 0.4949 0.1221
O: 0.9503 0.8559 0.4882
O: 0.9785 0.7819 0.8778
O: 0.9917 0.6985 0.3468



Record 2
Entry from the Materials Project: a relaxed Ti2Cr3O12 crystal (GGA+U).

MP2020-corrected energy: -8.42 eV per atom
Formation enthalpy at 0 K: -2.291 eV per atom
E_tot: -515.33 eV for the cell shown
Total moment: 2.000 μB/f.u.

a b c (Å): 12.7956 9.1482 9.1783
angles (deg): 90.00 90.00 90.00
Fractional coordinates of all 68 atoms:
Ti: 0.1192 0.2347 0.0284
Ti: 0.1192 0.7653 0.5284
Ti: 0.3808 0.2653 0.5284
Ti: 0.3808 0.7347 0.0284
Ti: 0.6192 0.2653 0.9716
Ti: 0.6192 0.7347 0.4716
Ti: 0.8808 0.2347 0.4716
Ti: 0.8808 0.7653 0.9716
Cr: 0.0000 0.0352 0.7500
Cr: 0.0000 0.9648 0.2500
Cr: 0.1425 0.3907 0.3964
Cr: 0.1425 0.6093 0.8964
Cr: 0.3575 0.1093 0.8964
Cr: 0.3575 0.8907 0.3964
Cr: 0.5000 0.4648 0.2500
Cr: 0.5000 0.5352 0.7500
Cr: 0.6425 0.1093 0.6036
Cr: 0.6425 0.8907 0.1036
Cr: 0.8575 0.3907 0.1036
Cr: 0.8575 0.6093 0.6036
O: 0.0241 0.3346 0.4448
O: 0.0241 0.6654 0.9448
O: 0.0807 0.0803 0.1421
O: 0.0805 0.1505 0.8574
O: 0.0805 0.8495 0.3574
O: 0.0807 0.9197 0.6421
O: 0.1528 0.4300 0.9177
O: 0.1528 0.5700 0.4177
O: 0.1626 0.3491 0.2231
O: 0.1626 0.6509 0.7231
O: 0.2321 0.3090 0.5055
O: 0.2321 0.6910 0.0055
O: 0.2679 0.1910 0.0055
O: 0.2679 0.8090 0.5055
O: 0.3374 0.1509 0.7231
O: 0.3374 0.8491 0.2231
O: 0.3472 0.0700 0.4177
O: 0.3472 0.9300 0.9177
O: 0.4195 0.3495 0.3574
O: 0.4193 0.4197 0.6421
O: 0.4193 0.5803 0.1421
O: 0.4195 0.6505 0.8574
O: 0.4759 0.1654 0.9448
O: 0.4759 0.8346 0.4448
O: 0.5241 0.1654 0.5552
O: 0.5241 0.8346 0.0552
O: 0.5805 0.3495 0.1426
O: 0.5807 0.4197 0.8579
O: 0.5807 0.5803 0.3579
O: 0.5805 0.6505 0.6426
O: 0.6528 0.0700 0.0823
O: 0.6528 0.9300 0.5823
O: 0.6626 0.1509 0.7769
O: 0.6626 0.8491 0.2769
O: 0.7321 0.1910 0.4945
O: 0.7321 0.8090 0.9945
O: 0.7679 0.3090 0.9945
O: 0.7679 0.6910 0.4945
O: 0.8374 0.3491 0.2769
O: 0.8374 0.6509 0.7769
O: 0.8472 0.4300 0.5823
O: 0.8472 0.5700 0.0823
O: 0.9193 0.0803 0.3579
O: 0.9195 0.1505 0.6426
O: 0.9195 0.8495 0.1426
O: 0.9193 0.9197 0.8579
O: 0.9759 0.3346 0.0552
O: 0.9759 0.6654 0.5552



Record 3
Entry from the Materials Project: a relaxed Na2Mo2O5 crystal (GGA+U).

MP2020-corrected energy: -7.27 eV per atom
Formation enthalpy at 0 K: -1.816 eV per atom
E_tot: -111.16 eV for the cell shown
Energy above the lowest structure with this stoichiometry: 69 meV/atom
Total moment: 0.998 μB/f.u.

a b c (Å): 8.5453 8.5453 5.6420
angles (deg): 108.98 108.98 124.15
Fractional coordinates of all 18 atoms:
Na: 0.1384 0.8616 0.0000
Na: 0.2726 0.5695 0.9197
Na: 0.5695 0.2726 0.9197
Na: 0.8616 0.1384 0.0000
Mo: 0.2132 0.7171 0.4674
Mo: 0.5555 0.5555 0.4580
Mo: 0.7171 0.2132 0.4674
Mo: 0.8529 0.8529 0.3544
O: 0.1232 0.9068 0.5779
O: 0.3167 0.5417 0.3780
O: 0.4596 0.9678 0.4629
O: 0.4914 0.9399 0.9666
O: 0.5106 0.5106 0.0497
O: 0.5417 0.3167 0.3780
O: 0.8001 0.8001 0.9489
O: 0.9068 0.1232 0.5779
O: 0.9399 0.4914 0.9666
O: 0.9678 0.4596 0.4629



Record 4
Entry from the Materials Project: a relaxed Na3CoPCO7 crystal (GGA+U).

MP2020-corrected energy: -6.86 eV per atom
Formation enthalpy at 0 K: -2.216 eV per atom
E_tot: -330.84 eV for the cell shown
Energy above the lowest structure with this stoichiometry: 18 meV/atom
Total moment: 0.000 μB/f.u.

a b c (Å): 6.6159 10.4055 10.4528
angles (deg): 61.51 89.77 89.89
Fractional coordinates of all 52 atoms:
Na: 0.0000 0.0000 0.0000
Na: 0.0002 0.4973 0.5018
Na: 0.0069 0.9947 0.4988
Na: 0.0080 0.4963 0.9922
Na: 0.2388 0.6356 0.1984
Na: 0.2409 0.1357 0.6976
Na: 0.5020 0.9995 0.9932
Na: 0.5026 0.4973 0.4935
Na: 0.5039 0.4949 0.0071
Na: 0.5065 0.9977 0.5073
Na: 0.7349 0.3620 0.8017
Na: 0.7362 0.8610 0.3025
Co: 0.2499 0.1189 0.1682
Co: 0.2591 0.6260 0.6599
Co: 0.7623 0.8659 0.8376
Co: 0.7629 0.3674 0.3357
P: 0.2540 0.8139 0.8360
P: 0.2546 0.3138 0.3344
P: 0.7516 0.1789 0.1635
P: 0.7532 0.6796 0.6627
C: 0.2539 0.8264 0.3287
C: 0.2556 0.3279 0.8244
C: 0.7517 0.6697 0.1696
C: 0.7530 0.1696 0.6700
O: 0.0664 0.9063 0.8384
O: 0.0668 0.4068 0.3356
O: 0.2450 0.8016 0.6930
O: 0.2491 0.3012 0.1916
O: 0.2485 0.6876 0.4249
O: 0.2507 0.8653 0.1900
O: 0.2530 0.1628 0.4708
O: 0.2537 0.1895 0.9220
O: 0.2541 0.6629 0.9721
O: 0.2557 0.3644 0.6862
O: 0.2581 0.4289 0.8628
O: 0.2636 0.9257 0.3691
O: 0.4411 0.4076 0.3308
O: 0.4410 0.9078 0.8311
O: 0.5652 0.0881 0.1591
O: 0.5666 0.5893 0.6570
O: 0.7443 0.1884 0.3079
O: 0.7440 0.6883 0.8076
O: 0.7462 0.8073 0.0684
O: 0.7479 0.3068 0.5680
O: 0.7523 0.5662 0.1349
O: 0.7539 0.0653 0.6364
O: 0.7555 0.8323 0.5290
O: 0.7566 0.3308 0.0291
O: 0.7571 0.6383 0.3062
O: 0.7577 0.1392 0.8063
O: 0.9400 0.0841 0.1680
O: 0.9406 0.5864 0.6654



Record 5
Entry from the Materials Project: a relaxed Sr16V8O31 crystal (GGA+U).

MP2020-corrected energy: -7.58 eV per atom
Formation enthalpy at 0 K: -2.977 eV per atom
E_tot: -381.90 eV for the cell shown

a b c (Å): 6.9182 11.0627 11.7838
angles (deg): 62.65 77.84 89.65
Fractional coordinates of all 55 atoms:
Sr: 0.0867 0.2644 0.2065
Sr: 0.0970 0.7853 0.1936
Sr: 0.1614 0.0992 0.5489
Sr: 0.1615 0.6036 0.5460
Sr: 0.3350 0.1422 0.9507
Sr: 0.3597 0.6614 0.9395
Sr: 0.4028 0.4680 0.3056
Sr: 0.4026 0.9724 0.3076
Sr: 0.5974 0.0276 0.6924
Sr: 0.5972 0.5320 0.6944
Sr: 0.6403 0.3386 0.0605
Sr: 0.6650 0.8578 0.0493
Sr: 0.8385 0.3964 0.4540
Sr: 0.8386 0.9008 0.4511
Sr: 0.9030 0.2147 0.8064
Sr: 0.9133 0.7356 0.7935
V: 0.1284 0.4337 0.8689
V: 0.1291 0.9384 0.8718
V: 0.3729 0.8126 0.6260
V: 0.3758 0.3119 0.6236
V: 0.6242 0.6881 0.3764
V: 0.6271 0.1874 0.3740
V: 0.8709 0.0616 0.1282
V: 0.8716 0.5663 0.1311
O: 0.0000 0.0000 0.0000
O: 0.0070 0.7397 0.9950
O: 0.1121 0.0189 0.2082
O: 0.1160 0.5161 0.1802
O: 0.1327 0.8525 0.5459
O: 0.1421 0.3587 0.5379
O: 0.2442 0.6249 0.7562
O: 0.2498 0.3797 0.7477
O: 0.2583 0.8779 0.7438
O: 0.2609 0.1356 0.7405
O: 0.3264 0.4106 0.9655
O: 0.3712 0.8973 0.9548
O: 0.3795 0.7200 0.2985
O: 0.3853 0.2289 0.2932
O: 0.4925 0.7458 0.5072
O: 0.5000 0.0000 0.5000
O: 0.5000 0.5000 0.5000
O: 0.5075 0.2542 0.4928
O: 0.6147 0.7711 0.7068
O: 0.6205 0.2800 0.7015
O: 0.6288 0.1027 0.0452
O: 0.6736 0.5894 0.0345
O: 0.7391 0.8644 0.2595
O: 0.7417 0.1221 0.2562
O: 0.7502 0.6203 0.2523
O: 0.7558 0.3751 0.2438
O: 0.8579 0.6413 0.4621
O: 0.8673 0.1475 0.4541
O: 0.8840 0.4839 0.8198
O: 0.8879 0.9811 0.7918
O: 0.9930 0.2603 0.0050



Record 6
Entry from the Materials Project: a relaxed Ba2BiWO6 crystal (GGA+U).

MP2020-corrected energy: -7.45 eV per atom
Formation enthalpy at 0 K: -2.417 eV per atom
E_tot: -65.99 eV for the cell shown
Energy above the lowest structure with this stoichiometry: 73 meV/atom
Total moment: 1.000 μB/f.u.

a b c (Å): 6.1377 6.1377 6.1377
angles (deg): 60.00 60.00 60.00
Fractional coordinates of all 10 atoms:
Ba: 0.2500 0.2500 0.2500
Ba: 0.7500 0.7500 0.7500
Bi: 0.0000 0.0000 0.0000
W: 0.5000 0.5000 0.5000
O: 0.2691 0.2691 0.7309
O: 0.2691 0.7309 0.2691
O: 0.2691 0.7309 0.7309
O: 0.7309 0.2691 0.2691
O: 0.7309 0.2691 0.7309
O: 0.7309 0.7309 0.2691



Record 7
Entry from the Materials Project: a relaxed Na4CoMo3O12 crystal (GGA+U).

MP2020-corrected energy: -7.24 eV per atom
Formation enthalpy at 0 K: -2.028 eV per atom
E_tot: -250.76 eV for the cell shown
Total moment: 3.000 μB/f.u.

a b c (Å): 9.4009 9.4009 7.2801
angles (deg): 105.07 105.07 94.16
Fractional coordinates of all 40 atoms:
Na: 0.0000 0.0000 0.0000
Na: 0.0455 0.3810 0.8741
Na: 0.2550 0.7450 0.5000
Na: 0.4872 0.5116 0.2503
Na: 0.4884 0.5128 0.7497
Na: 0.6190 0.9545 0.1259
Na: 0.7249 0.2751 0.0000
Na: 0.9796 0.0204 0.5000
Co: 0.3691 0.0623 0.3750
Co: 0.9377 0.6309 0.6250
Mo: 0.1154 0.3515 0.3750
Mo: 0.2698 0.7302 0.0000
Mo: 0.3302 0.1318 0.8709
Mo: 0.6485 0.8846 0.6250
Mo: 0.7037 0.2963 0.5000
Mo: 0.8682 0.6698 0.1291
O: 0.0311 0.4216 0.5716
O: 0.1372 0.1539 0.8345
O: 0.1435 0.7530 0.7731
O: 0.1572 0.1616 0.3583
O: 0.2470 0.8565 0.2269
O: 0.2548 0.5496 0.0304
O: 0.2825 0.4752 0.4260
O: 0.3403 0.0139 0.6354
O: 0.3809 0.0514 0.0746
O: 0.4478 0.3064 0.9388
O: 0.4504 0.7452 0.9696
O: 0.5067 0.2632 0.4830
O: 0.5248 0.7175 0.5740
O: 0.5784 0.9689 0.4284
O: 0.6570 0.0122 0.8575
O: 0.6936 0.5522 0.0612
O: 0.7368 0.4933 0.5170
O: 0.7488 0.1904 0.2870
O: 0.8096 0.2512 0.7130
O: 0.8384 0.8428 0.6417
O: 0.8461 0.8628 0.1655
O: 0.9486 0.6191 0.9254
O: 0.9861 0.6597 0.3646
O: 0.9878 0.3430 0.1425



Record 8
Entry from the Materials Project: a relaxed Li2MnFeP2O8 crystal (GGA+U).

MP2020-corrected energy: -7.69 eV per atom
Formation enthalpy at 0 K: -2.556 eV per atom
E_tot: -196.44 eV for the cell shown
Energy above the lowest structure with this stoichiometry: 1 meV/atom
Total moment: 0.999 μB/f.u.

a b c (Å): 4.7776 6.1322 10.5091
angles (deg): 90.00 90.17 90.00
Fractional coordinates of all 28 atoms:
Li: 0.0000 0.0000 0.0000
Li: 0.0000 0.5000 0.0000
Li: 0.5000 0.0000 0.5000
Li: 0.5000 0.5000 0.5000
Mn: 0.0243 0.2500 0.7191
Mn: 0.9757 0.7500 0.2809
Fe: 0.4715 0.2500 0.2183
Fe: 0.5285 0.7500 0.7817
P: 0.0912 0.7500 0.5944
P: 0.4162 0.7500 0.0916
P: 0.5838 0.2500 0.9084
P: 0.9088 0.2500 0.4056
O: 0.2103 0.7500 0.4566
O: 0.2271 0.5485 0.6634
O: 0.2271 0.9515 0.6634
O: 0.2305 0.2500 0.4015
O: 0.2621 0.2500 0.9053
O: 0.2851 0.5478 0.1622
O: 0.2851 0.9522 0.1622
O: 0.2911 0.7500 0.9549
O: 0.7089 0.2500 0.0451
O: 0.7149 0.0478 0.8378
O: 0.7149 0.4522 0.8378
O: 0.7379 0.7500 0.0947
O: 0.7695 0.7500 0.5985
O: 0.7729 0.0485 0.3366
O: 0.7729 0.4515 0.3366
O: 0.7897 0.2500 0.5434



Record 9
Entry from the Materials Project: a relaxed MgMn2Co2O8 crystal (GGA+U).

MP2020-corrected energy: -7.38 eV per atom
Formation enthalpy at 0 K: -1.708 eV per atom
E_tot: -83.82 eV for the cell shown
Energy above the lowest structure with this stoichiometry: 79 meV/atom
Total moment: 10.002 μB/f.u.

a b c (Å): 5.8574 5.8574 5.9660
angles (deg): 119.13 119.13 60.20
Fractional coordinates of all 13 atoms:
Mg: 0.0000 0.0000 0.0000
Mn: 0.0000 0.5000 0.0000
Mn: 0.5000 0.0000 0.0000
Co: 0.5000 0.5000 0.0000
Co: 0.5000 0.5000 0.5000
O: 0.2472 0.2472 0.2071
O: 0.2505 0.7105 0.2056
O: 0.2700 0.2700 0.8026
O: 0.2895 0.7495 0.7944
O: 0.7105 0.2505 0.2056
O: 0.7300 0.7300 0.1974
O: 0.7495 0.2895 0.7944
O: 0.7528 0.7528 0.7929